## Ba2LaCrO6 (PBE with a Hubbard U)

Data for a geometry-optimized Ba2LaCrO6 structure.

Calculated formation energy = -273 kJ per mole of atoms
MP2020-corrected energy = -7.64 eV per atom
Mass density = 6.06 g cm⁻³

POSCAR file:
```
Ba2LaCrO6
1.0
8.5083 0.0000 0.0000
0.0000 8.5083 0.0000
0.0000 0.0000 8.5083
Ba La Cr O
8 4 4 24
direct
0.2500 0.2500 0.2500
0.2500 0.2500 0.7500
0.2500 0.7500 0.2500
0.2500 0.7500 0.7500
0.7500 0.2500 0.2500
0.7500 0.2500 0.7500
0.7500 0.7500 0.2500
0.7500 0.7500 0.7500
0.0000 0.0000 0.0000
0.0000 0.5000 0.5000
0.5000 0.0000 0.5000
0.5000 0.5000 0.0000
0.0000 0.0000 0.5000
0.0000 0.5000 0.0000
0.5000 0.0000 0.0000
0.5000 0.5000 0.5000
0.0121 0.2237 0.5132
0.0121 0.2763 0.9868
0.0132 0.5121 0.7763
0.0132 0.9879 0.7237
0.2237 0.5132 0.0121
0.2237 0.9868 0.4879
0.2763 0.5132 0.4879
0.2763 0.9868 0.0121
0.4868 0.5121 0.7237
0.4868 0.9879 0.7763
0.4879 0.2237 0.9868
0.4879 0.2763 0.5132
0.5121 0.7237 0.4868
0.5121 0.7763 0.0132
0.5132 0.0121 0.2237
0.5132 0.4879 0.2763
0.7237 0.0132 0.9879
0.7237 0.4868 0.5121
0.7763 0.0132 0.5121
0.7763 0.4868 0.9879
0.9868 0.0121 0.2763
0.9868 0.4879 0.2237
0.9879 0.7237 0.0132
0.9879 0.7763 0.4868
```

=====

## Sr2Mn3Sb2O2 (PBE with a Hubbard U)

Data for a geometry-optimized Sr2Mn3Sb2O2 structure.

Calculated formation energy = -125 kJ per mole of atoms
MP2020-corrected energy = -6.74 eV per atom
Mass density = 5.27 g cm⁻³

POSCAR file:
```
Sr2Mn3Sb2O2
1.0
-2.1725 2.1725 10.2829
2.1725 -2.1725 10.2829
2.1725 2.1725 -10.2829
Sr Mn Sb O
2 3 2 2
direct
0.0784 0.0784 0.0000
0.9216 0.9216 0.0000
0.2500 0.7500 0.5000
0.5000 0.5000 0.0000
0.7500 0.2500 0.5000
0.3391 0.3391 0.0000
0.6609 0.6609 0.0000
0.0000 0.5000 0.5000
0.5000 0.0000 0.5000
```

=====

## FeHC2O3 (PBE with a Hubbard U)

Data for a geometry-optimized FeHC2O3 structure.

Calculated formation energy = -109 kJ per mole of atoms
MP2020-corrected energy = -7.58 eV per atom
Mass density = 2.88 g cm⁻³

POSCAR file:
```
FeHC2O3
1.0
3.3931 0.0000 0.0000
0.0000 10.1961 0.0000
-1.8841 0.0000 8.5899
Fe H C O
4 4 8 12
direct
0.1917 0.1127 0.4199
0.1917 0.3873 0.9199
0.8083 0.6127 0.0801
0.8083 0.8873 0.5801
0.1659 0.6481 0.8361
0.1659 0.8519 0.3361
0.8341 0.1481 0.6639
0.8341 0.3519 0.1639
0.3576 0.0841 0.9460
0.3576 0.4159 0.4460
0.4251 0.5505 0.3950
0.4251 0.9495 0.8950
0.5749 0.0505 0.1050
0.5749 0.4495 0.6050
0.6424 0.5841 0.5540
0.6424 0.9159 0.0540
0.1816 0.1836 0.8774
0.1816 0.3164 0.3774
0.2365 0.5977 0.9337
0.2365 0.9023 0.4337
0.3403 0.6127 0.2670
0.3403 0.8873 0.7670
0.6597 0.1127 0.2330
0.6597 0.3873 0.7330
0.7635 0.0977 0.5663
0.7635 0.4023 0.0663
0.8184 0.6836 0.6226
0.8184 0.8164 0.1226
```

=====

Which formula does entry 3 have? FeHC2O3